(1)
C, optimized geometry, DFT GGA-PBE; total DFT energy (no corrections) = -530.3 eV/cell; M_tot = 0.0 μB per formula unit; ρ = 1.7 Mg/m³; relative energy among the computed polymorphs = 9.009 kcal/mol of atoms; formation enthalpy at 0 K = 0.391 eV per atom; space-group type = Fm-3, No. 202
1.0
-2.1657 0.6507 9.6548
-9.4053 -0.8053 3.0368
-2.9299 -8.0599 4.9782
C
60
Direct
0.4270 0.2022 0.9015
0.0985 0.5306 0.5730
0.9016 0.2658 0.3014
0.2022 0.9015 0.4270
0.5730 0.5306 0.7978
0.7342 0.0984 0.4689
0.9015 0.4270 0.2022
0.6986 0.0984 0.7342
0.6990 0.2009 0.7991
0.4689 0.0984 0.6986
0.7978 0.5306 0.0985
0.5311 0.9016 0.3014
0.7991 0.2009 0.3010
0.5306 0.5730 0.0985
0.4694 0.2022 0.4270
0.0985 0.5730 0.7978
0.4689 0.7342 0.0984
0.4270 0.9015 0.4694
0.5730 0.0985 0.5306
0.5306 0.0985 0.7978
0.3014 0.2658 0.5311
0.0985 0.7978 0.5306
0.2009 0.7991 0.6990
0.0984 0.4689 0.7342
0.2658 0.9016 0.5311
0.2022 0.4694 0.9015
0.9015 0.4694 0.4270
0.3010 0.7991 0.2009
0.3014 0.9016 0.2658
0.5306 0.7978 0.5730
0.2658 0.5311 0.3014
0.3014 0.5311 0.9016
0.0984 0.6986 0.4689
0.2009 0.6990 0.3010
0.4689 0.6986 0.7342
0.5730 0.7978 0.0985
0.3010 0.2009 0.6990
0.5311 0.2658 0.9016
0.7342 0.4689 0.6986
0.2658 0.3014 0.9016
0.2022 0.4270 0.4694
0.9016 0.3014 0.5311
0.7991 0.3010 0.6990
0.6986 0.4689 0.0984
0.3010 0.6990 0.7991
0.7342 0.6986 0.0984
0.9015 0.2022 0.4694
0.4694 0.4270 0.9015
0.6986 0.7342 0.4689
0.6990 0.3010 0.2009
0.7991 0.6990 0.2009
0.7978 0.5730 0.5306
0.7978 0.0985 0.5730
0.5311 0.3014 0.2658
0.9016 0.5311 0.2658
0.4270 0.4694 0.2022
0.0984 0.7342 0.6986
0.6990 0.7991 0.3010
0.4694 0.9015 0.2022
0.2009 0.3010 0.7991

=====

(2)
C, optimized geometry, DFT GGA-PBE; total DFT energy (no corrections) = -71.7 eV/cell; M_tot = 0.0 μB per formula unit; ρ = 3.4 Mg/m³; relative energy among the computed polymorphs = 6.175 kcal/mol of atoms; formation enthalpy at 0 K = 0.268 eV per atom; space-group type = Cmmm, No. 65
1.0
2.1276 -4.3856 0.0000
2.1276 4.3856 0.0000
0.0000 0.0000 2.5147
C
8
Direct
0.6482 0.9815 0.0000
0.3518 0.0185 0.0000
0.0185 0.3518 0.0000
0.9815 0.6482 0.0000
0.4047 0.2264 0.5000
0.5953 0.7736 0.5000
0.7736 0.5953 0.5000
0.2264 0.4047 0.5000